The following is a PBE calculation of an optimized crystal structure of KYTa2O7, from the Materials Project database.

SG: Imma
ΔE_f in eV/f.u.: -36.74

Cell lengths 7.5482, 7.5482, 7.5482 Å; angles 121.03, 120.00, 89.12 degrees
Fractional positions:
Ta 0.5000 0.5000 0.5000
Ta 0.0000 0.5000 0.5000
Ta 0.5000 0.5000 0.0000
Ta 0.5000 0.0000 0.0000
O 0.8136 0.1825 0.2394
O 0.1597 0.9097 0.2500
O 0.4340 0.1840 0.2500
O 0.4431 0.5742 0.2606
O 0.4431 0.1825 0.8688
O 0.8136 0.5742 0.6312
O 0.5660 0.8160 0.7500
O 0.1864 0.4258 0.3688
O 0.5569 0.4258 0.7394
O 0.5569 0.8175 0.1312
O 0.8075 0.5575 0.2500
O 0.1864 0.8175 0.7606
O 0.8403 0.0903 0.7500
O 0.1925 0.4425 0.7500
K 0.0000 0.5000 0.0000
K 0.0000 0.0000 0.5000
Y 0.5000 0.0000 0.5000
Y 0.0000 0.0000 0.0000